(1)
DFT (r2SCAN) results for a relaxed structure of Ti2MoPt.

Properties
spin magnetization	0.00	μB per formula unit
calculated formation energy	-269	kJ/mol of formula units
space group	Fm-3m, No. 225

a b c (Å): 4.428 4.428 4.428
angles (deg): 60.00 60.00 60.00
Fractional coordinates of all 4 atoms:
Ti  0.250  0.250  0.250
Ti  0.750  0.750  0.750
Mo  0.000  0.000  0.000
Pt  0.500  0.500  0.500

***

(2)
DFT (r2SCAN) results for a relaxed structure of Rb2MoS4.

Properties
spin magnetization	0.00	μB per formula unit
calculated formation energy	-766	kJ/mol of formula units
space group	Pnma, No. 62

a b c (Å): 9.764 7.061 12.532
angles (deg): 90.00 90.00 90.00
Fractional coordinates of all 28 atoms:
Rb  0.038  0.250  0.168
Rb  0.154  0.750  0.395
Rb  0.346  0.250  0.895
Rb  0.462  0.750  0.668
Rb  0.538  0.250  0.332
Rb  0.654  0.750  0.105
Rb  0.846  0.250  0.605
Rb  0.962  0.750  0.832
Mo  0.246  0.750  0.073
Mo  0.254  0.250  0.573
Mo  0.746  0.750  0.427
Mo  0.754  0.250  0.927
S  0.025  0.750  0.105
S  0.161  0.000  0.644
S  0.161  0.500  0.644
S  0.213  0.250  0.402
S  0.287  0.750  0.902
S  0.339  0.000  0.144
S  0.339  0.500  0.144
S  0.475  0.250  0.605
S  0.525  0.750  0.395
S  0.661  0.000  0.856
S  0.661  0.500  0.856
S  0.713  0.250  0.098
S  0.787  0.750  0.598
S  0.839  0.000  0.356
S  0.839  0.500  0.356
S  0.975  0.250  0.895

***

(3)
DFT (r2SCAN) results for a relaxed structure of Rb2MoSe4.

Properties
spin magnetization	0.00	μB per formula unit
calculated formation energy	-680	kJ/mol of formula units
space group	Pnma, No. 62

a b c (Å): 10.141 7.304 12.913
angles (deg): 90.00 90.00 90.00
Fractional coordinates of all 28 atoms:
Rb  0.045  0.250  0.160
Rb  0.158  0.750  0.389
Rb  0.342  0.250  0.889
Rb  0.455  0.750  0.660
Rb  0.545  0.250  0.340
Rb  0.658  0.750  0.111
Rb  0.842  0.250  0.611
Rb  0.955  0.750  0.840
Mo  0.250  0.250  0.572
Mo  0.250  0.750  0.072
Mo  0.750  0.250  0.928
Mo  0.750  0.750  0.428
Se  0.026  0.750  0.111
Se  0.151  0.505  0.643
Se  0.151  0.995  0.643
Se  0.216  0.250  0.395
Se  0.284  0.750  0.895
Se  0.349  0.005  0.143
Se  0.349  0.495  0.143
Se  0.474  0.250  0.611
Se  0.526  0.750  0.389
Se  0.651  0.505  0.857
Se  0.651  0.995  0.857
Se  0.716  0.250  0.105
Se  0.784  0.750  0.605
Se  0.849  0.005  0.357
Se  0.849  0.495  0.357
Se  0.974  0.250  0.889